Entry 1:
The following is a PBE+U calculation of a geometry-optimized Li3V2C4O12 structure, from the Materials Project database.

Properties
**ΔE to the lowest computed polymorph**: 0.0000 eV/atom

Structure (POSCAR):
```
Li3V2C4O12
1.0
7.6580 0.0000 0.0000
2.2749 7.3148 0.0000
2.4891 1.8618 8.3720
Li V C O
6 4 8 24
direct
0.0000 0.0000 0.0000 Li
0.0703 0.6200 0.5624 Li
0.3818 0.9227 0.4297 Li
0.4944 0.4888 0.4944 Li
0.5781 0.1235 0.0563 Li
0.8714 0.4235 0.9394 Li
0.3767 0.1136 0.7534 V
0.4854 0.5122 0.0011 V
0.8808 0.6195 0.2451 V
0.9855 0.0096 0.4959 V
0.1572 0.3179 0.4800 C
0.1769 0.3307 0.0228 C
0.2111 0.7674 0.2347 C
0.2248 0.7937 0.7635 C
0.6631 0.8280 0.9671 C
0.6698 0.8424 0.5249 C
0.7023 0.2632 0.7299 C
0.7377 0.2853 0.2650 C
0.0286 0.4517 0.0689 O
0.0407 0.4654 0.4285 O
0.0652 0.8058 0.1752 O
0.1398 0.7954 0.6547 O
0.1607 0.2362 0.9251 O
0.1825 0.1578 0.4432 O
0.1935 0.9536 0.8071 O
0.1999 0.8403 0.3569 O
0.2541 0.3315 0.5751 O
0.3318 0.2995 0.0657 O
0.3320 0.6457 0.8206 O
0.3657 0.6594 0.1867 O
0.5222 0.9622 0.5781 O
0.5357 0.9754 0.9185 O
0.5426 0.2984 0.6859 O
0.6520 0.7500 0.4312 O
0.6696 0.2891 0.1455 O
0.6934 0.6722 0.9274 O
0.6964 0.4310 0.3246 O
0.7066 0.3364 0.8420 O
0.7535 0.8520 0.0611 O
0.8301 0.8167 0.5613 O
0.8510 0.1317 0.3178 O
0.8507 0.1568 0.6664 O
```

***

Entry 2:
The following is a PBE+U calculation of a geometry-optimized LiVC2O6 structure, from the Materials Project database.

Properties
**ΔE to the lowest computed polymorph**: 0.0313 eV/atom

Structure (POSCAR):
```
LiVC2O6
1.0
-5.1731 5.1731 4.7506
5.1731 -5.1731 4.7506
5.1731 5.1731 -4.7506
Li V C O
4 4 8 24
direct
0.3750 0.0599 0.1849 Li
0.8099 0.6250 0.6849 Li
0.8750 0.1901 0.8151 Li
0.9401 0.1250 0.3151 Li
0.1043 0.6250 0.9793 V
0.3750 0.3543 0.4793 V
0.6457 0.1250 0.0207 V
0.8750 0.8957 0.5207 V
0.0696 0.9030 0.2640 C
0.0970 0.3610 0.1666 C
0.1110 0.3470 0.6666 C
0.1944 0.9304 0.8334 C
0.5556 0.8890 0.2360 C
0.6390 0.8056 0.7360 C
0.6530 0.3196 0.7640 C
0.6804 0.4444 0.3334 C
0.0297 0.7391 0.1637 O
0.0802 0.4223 0.0467 O
0.0798 0.7965 0.8563 O
0.1341 0.9703 0.7094 O
0.1723 0.3302 0.5467 O
0.1746 0.5109 0.7906 O
0.2035 0.0598 0.2833 O
0.2609 0.4246 0.2906 O
0.3744 0.8277 0.1579 O
0.3756 0.0335 0.9533 O
0.4891 0.2797 0.6637 O
0.5465 0.3298 0.3563 O
0.5754 0.8659 0.8363 O
0.5777 0.6244 0.6579 O
0.6159 0.8254 0.3363 O
0.6702 0.0265 0.2167 O
0.6698 0.2165 0.8421 O
0.7203 0.3841 0.2094 O
0.7765 0.9202 0.7167 O
0.7835 0.6256 0.4533 O
0.8098 0.4535 0.7833 O
0.9402 0.2235 0.1437 O
0.9665 0.9198 0.3421 O
0.9735 0.1902 0.6437 O
```

***

Entry 3:
The following is a PBE+U calculation of a geometry-optimized Li2V3C6O18 structure, from the Materials Project database.

Structure (POSCAR):
```
Li2V3C6O18
1.0
4.8071 0.0000 0.0000
-2.4005 5.5897 0.0000
-0.0054 -2.5092 11.9256
Li V C O
2 3 6 18
direct
0.0716 0.1464 0.2285 Li
0.9284 0.8536 0.7715 Li
0.0000 0.0000 0.5000 V
0.3384 0.6685 0.1623 V
0.6616 0.3315 0.8377 V
0.1217 0.2506 0.9673 C
0.2084 0.4148 0.6986 C
0.4646 0.9220 0.6338 C
0.5354 0.0780 0.3662 C
0.7916 0.5852 0.3014 C
0.8783 0.7494 0.0327 C
0.0664 0.2976 0.5986 O
0.0714 0.5035 0.7721 O
0.1490 0.7594 0.0458 O
0.1860 0.9108 0.6255 O
0.2320 0.1566 0.8823 O
0.2771 0.3415 0.0634 O
0.3835 0.9955 0.2687 O
0.4229 0.1558 0.4523 O
0.4852 0.4423 0.7162 O
0.5148 0.5577 0.2838 O
0.5771 0.8442 0.5477 O
0.6165 0.0045 0.7313 O
0.7229 0.6585 0.9366 O
0.7680 0.8434 0.1177 O
0.8140 0.0892 0.3745 O
0.8510 0.2406 0.9542 O
0.9286 0.4965 0.2279 O
0.9336 0.7024 0.4014 O
```

***

Entry 4:
The following is a PBE+U calculation of a geometry-optimized LiVC2O6 structure, from the Materials Project database.

Properties
**ΔE to the lowest computed polymorph**: 0.0963 eV/atom

Structure (POSCAR):
```
LiVC2O6
1.0
2.3339 1.3475 5.4263
-2.3339 1.3475 5.4263
0.0000 -2.6950 5.4263
Li V C O
1 1 2 6
direct
0.0000 0.0000 0.0000 Li
0.5000 0.5000 0.5000 V
0.2446 0.2446 0.2446 C
0.7554 0.7554 0.7554 C
0.0446 0.7263 0.4918 O
0.2737 0.9554 0.5082 O
0.4918 0.0446 0.7263 O
0.5082 0.2737 0.9554 O
0.7263 0.4918 0.0446 O
0.9554 0.5082 0.2737 O
```

***

Entry 5:
The following is a PBE+U calculation of a geometry-optimized LiV2C4O12 structure, from the Materials Project database.

Properties
**ΔE to the lowest computed polymorph**: 0.0500 eV/atom

Structure (POSCAR):
```
LiV2C4O12
1.0
8.2089 0.0000 0.0000
0.0000 5.8777 0.0000
-8.1377 0.0000 9.1655
Li V C O
2 4 8 24
direct
0.0000 0.0673 0.0000 Li
0.0000 0.9327 0.5000 Li
0.5725 0.4576 0.6752 V
0.5725 0.5424 0.1752 V
0.9877 0.4988 0.1742 V
0.9877 0.5012 0.6742 V
0.0660 0.4954 0.4552 C
0.0660 0.5046 0.9552 C
0.4722 0.0272 0.1664 C
0.4722 0.9728 0.6664 C
0.5016 0.4981 0.3937 C
0.5016 0.5019 0.8937 C
0.9873 0.0676 0.6788 C
0.9873 0.9324 0.1788 C
0.0241 0.4018 0.0251 O
0.0241 0.5982 0.5251 O
0.0892 0.1892 0.7953 O
0.0892 0.8108 0.2953 O
0.2511 0.4098 0.5119 O
0.2511 0.5902 0.0119 O
0.3058 0.0087 0.6461 O
0.3058 0.9913 0.1461 O
0.3110 0.4315 0.3214 O
0.3110 0.5685 0.8214 O
0.5376 0.2358 0.1705 O
0.5376 0.7642 0.6705 O
0.5855 0.4224 0.8423 O
0.5855 0.5776 0.3423 O
0.6043 0.1311 0.6868 O
0.6043 0.8689 0.1868 O
0.6392 0.4852 0.5401 O
0.6392 0.5148 0.0401 O
0.9078 0.4810 0.3109 O
0.9078 0.5190 0.8109 O
0.9107 0.1869 0.5617 O
0.9107 0.8131 0.0617 O
0.9565 0.1455 0.1704 O
0.9565 0.8545 0.6704 O
```

***

Entry 6:
The following is a PBE+U calculation of a geometry-optimized LiV2C4O12 structure, from the Materials Project database.

Properties
**ΔE to the lowest computed polymorph**: 0.0374 eV/atom

Structure (POSCAR):
```
LiV2C4O12
1.0
7.8721 0.0000 0.0000
-2.3275 7.6372 0.0000
-1.7890 -2.5190 8.0141
Li V C O
2 4 8 24
direct
0.2054 0.0175 0.3164 Li
0.7946 0.9825 0.6836 Li
0.2057 0.4639 0.5611 V
0.2865 0.7418 0.0513 V
0.7135 0.2582 0.9487 V
0.7943 0.5361 0.4389 V
0.0056 0.7334 0.7331 C
0.0558 0.3350 0.8132 C
0.4620 0.8490 0.7799 C
0.4679 0.6322 0.2569 C
0.5321 0.3678 0.7431 C
0.5380 0.1510 0.2201 C
0.9442 0.6650 0.1868 C
0.9944 0.2666 0.2669 C
0.0106 0.5779 0.6423 O
0.0751 0.7769 0.1499 O
0.0844 0.2806 0.6716 O
0.1131 0.8249 0.8760 O
0.1282 0.2245 0.3474 O
0.1564 0.4925 0.9179 O
0.3059 0.6442 0.2568 O
0.3605 0.7325 0.6392 O
0.4116 0.0029 0.2198 O
0.4494 0.4302 0.6391 O
0.4494 0.8198 0.9197 O
0.4732 0.3111 0.8588 O
0.5268 0.6889 0.1412 O
0.5506 0.1802 0.0803 O
0.5506 0.5698 0.3609 O
0.5884 0.9971 0.7802 O
0.6395 0.2675 0.3608 O
0.6941 0.3558 0.7432 O
0.8436 0.5075 0.0821 O
0.8718 0.7755 0.6526 O
0.8869 0.1751 0.1240 O
0.9156 0.7194 0.3284 O
0.9249 0.2231 0.8501 O
0.9894 0.4221 0.3577 O
```

***

Entry 7:
The following is a PBE+U calculation of a geometry-optimized LiVC2O6 structure, from the Materials Project database.

Properties
**ΔE to the lowest computed polymorph**: 0.0662 eV/atom

Structure (POSCAR):
```
LiVC2O6
1.0
5.8556 -3.9732 0.0000
5.8556 3.9732 0.0000
-3.7231 0.0000 8.6125
Li V C O
4 4 8 24
direct
0.0000 0.0000 0.0000 Li
0.0003 0.9997 0.5000 Li
0.5004 0.4992 0.7497 Li
0.5008 0.4996 0.2503 Li
0.4239 0.0763 0.3752 V
0.4237 0.0764 0.8762 V
0.9236 0.5763 0.1238 V
0.9237 0.5761 0.6248 V
0.1994 0.5372 0.4332 C
0.1994 0.5374 0.9330 C
0.4626 0.8006 0.0670 C
0.4628 0.8006 0.5668 C
0.7001 0.0370 0.1836 C
0.6996 0.0371 0.6837 C
0.9629 0.3004 0.3163 C
0.9630 0.2999 0.8164 C
0.0634 0.6765 0.5082 O
0.0637 0.6765 0.0080 O
0.1107 0.1590 0.2546 O
0.1105 0.1591 0.7542 O
0.1918 0.5473 0.2951 O
0.1931 0.5474 0.7953 O
0.3235 0.9363 0.9920 O
0.3235 0.9366 0.4918 O
0.3408 0.3895 0.9946 O
0.3411 0.3896 0.4950 O
0.4526 0.8069 0.2047 O
0.4527 0.8082 0.7049 O
0.5631 0.1763 0.2575 O
0.5634 0.1761 0.7579 O
0.6104 0.6589 0.5050 O
0.6105 0.6592 0.0054 O
0.6933 0.0473 0.5456 O
0.6939 0.0466 0.0456 O
0.8239 0.4366 0.2421 O
0.8237 0.4369 0.7425 O
0.8409 0.8895 0.2458 O
0.8410 0.8893 0.7454 O
0.9534 0.3061 0.9544 O
0.9527 0.3067 0.4544 O
```

***

Entry 8:
The following is a PBE+U calculation of a geometry-optimized LiVC2O6 structure, from the Materials Project database.

Properties
**ΔE to the lowest computed polymorph**: 0.0000 eV/atom

Structure (POSCAR):
```
LiVC2O6
1.0
2.3463 1.3546 5.0921
-2.3463 1.3546 5.0921
0.0000 -2.7093 5.0921
Li V C O
1 1 2 6
direct
0.0000 0.0000 0.0000 Li
0.5000 0.5000 0.5000 V
0.2449 0.2449 0.2449 C
0.7551 0.7551 0.7551 C
0.0368 0.4849 0.7425 O
0.2575 0.9632 0.5151 O
0.4849 0.7425 0.0368 O
0.5151 0.2575 0.9632 O
0.7425 0.0368 0.4849 O
0.9632 0.5151 0.2575 O
```

***

Entry 9:
The following is a PBE+U calculation of a geometry-optimized LiVC2O6 structure, from the Materials Project database.

Properties
**ΔE to the lowest computed polymorph**: 0.0481 eV/atom

Structure (POSCAR):
```
LiVC2O6
1.0
4.4108 5.9291 0.0429
-4.4093 5.9280 -0.0435
0.1143 -0.0004 7.6691
O C V Li
24 8 4 4
direct
0.8393 0.9911 0.1027 O
0.8374 0.9652 0.3938 O
0.4653 0.8377 0.1062 O
0.5091 0.1607 0.6033 O
0.6058 0.3409 0.2380 O
0.0092 0.6606 0.6028 O
0.1614 0.0093 0.8970 O
0.3378 0.4651 0.3940 O
0.3387 0.4909 0.1029 O
0.1589 0.3939 0.7387 O
0.9652 0.3379 0.1055 O
0.3941 0.6587 0.7615 O
0.1621 0.0350 0.6059 O
0.6627 0.5344 0.6062 O
0.4906 0.8393 0.3974 O
0.1061 0.8413 0.2385 O
0.5351 0.1620 0.8945 O
0.8942 0.1591 0.7620 O
0.3411 0.1061 0.2616 O
0.6590 0.8938 0.7386 O
0.0348 0.6627 0.8939 O
0.8408 0.6062 0.2613 O
0.6607 0.5089 0.8974 O
0.9908 0.3392 0.3967 O
0.5665 0.0700 0.7461 C
0.0664 0.5702 0.7458 C
0.0703 0.0667 0.7544 C
0.9298 0.9337 0.2456 C
0.4336 0.9299 0.2544 C
0.5703 0.5661 0.7544 C
0.9334 0.4300 0.2539 C
0.4297 0.4335 0.2455 C
0.7501 0.2500 0.9999 V
0.7498 0.7500 0.5001 V
0.2502 0.7501 0.9999 V
0.2501 0.2497 0.4999 V
0.2499 0.7501 0.4999 Li
0.7499 0.2498 0.5000 Li
0.2501 0.2500 0.0000 Li
0.7500 0.7501 0.0000 Li
```

***

Entry 10:
The following is a PBE+U calculation of a geometry-optimized LiV2C4O12 structure, from the Materials Project database.

Properties
**ΔE to the lowest computed polymorph**: 0.0056 eV/atom

Structure (POSCAR):
```
LiV2C4O12
1.0
-4.6964 5.0517 5.1623
4.6964 -5.0517 5.1623
4.6964 5.0517 -5.1623
Li V C O
2 4 8 24
direct
0.0667 0.3167 0.7500 Li
0.4333 0.1833 0.2500 Li
0.2179 0.2500 0.4679 V
0.2821 0.7500 0.0321 V
0.7313 0.4813 0.2500 V
0.7687 0.0187 0.7500 V
0.0140 0.4867 0.5697 C
0.0830 0.0133 0.0273 C
0.4170 0.4444 0.9303 C
0.4860 0.0556 0.4727 C
0.5178 0.5735 0.4845 C
0.5890 0.0333 0.0155 C
0.9110 0.9265 0.4443 C
0.9822 0.4667 0.0557 C
0.0273 0.9878 0.3963 O
0.0300 0.3477 0.4565 O
0.0915 0.6310 0.1037 O
0.0920 0.5544 0.7556 O
0.1088 0.1523 0.1823 O
0.2012 0.9456 0.0375 O
0.2988 0.3363 0.7444 O
0.3912 0.5735 0.0435 O
0.4080 0.1637 0.4625 O
0.4085 0.5122 0.5396 O
0.4700 0.9265 0.3177 O
0.4727 0.8690 0.9604 O
0.5408 0.4572 0.3485 O
0.5471 0.4042 0.9933 O
0.5891 0.0958 0.6429 O
0.6058 0.7578 0.5598 O
0.6088 0.1923 0.1515 O
0.6979 0.0459 0.9402 O
0.8021 0.7422 0.3480 O
0.8912 0.0428 0.5835 O
0.8942 0.4541 0.1520 O
0.9109 0.5538 0.5067 O
0.9529 0.9462 0.8571 O
0.9592 0.3077 0.9165 O
```

***

Entry 11:
The following is a PBE+U calculation of a geometry-optimized LiVC2O6 structure, from the Materials Project database.

Properties
**ΔE to the lowest computed polymorph**: 0.1255 eV/atom

Structure (POSCAR):
```
LiVC2O6
1.0
6.5332 0.0000 0.0000
0.0000 7.9661 0.0000
-2.7901 0.0000 9.1798
Li V C O
4 4 8 24
direct
0.0584 0.0000 0.4251 Li
0.4392 0.4991 0.0755 Li
0.5608 0.9991 0.9245 Li
0.9416 0.5000 0.5749 Li
0.0070 0.5481 0.2424 V
0.4919 0.0478 0.2582 V
0.5081 0.5478 0.7418 V
0.9930 0.0481 0.7576 V
0.1931 0.2855 0.3075 C
0.2158 0.3069 0.8165 C
0.2855 0.8068 0.6838 C
0.3064 0.7850 0.1940 C
0.6936 0.2850 0.8060 C
0.7145 0.3068 0.3162 C
0.7842 0.8069 0.1835 C
0.8069 0.7855 0.6925 C
0.0526 0.3012 0.7007 O
0.0547 0.3057 0.1818 O
0.1836 0.9451 0.6396 O
0.2214 0.6369 0.1515 O
0.2343 0.6655 0.6128 O
0.2376 0.4151 0.3924 O
0.2596 0.9148 0.1097 O
0.2655 0.1653 0.8873 O
0.2779 0.1374 0.3498 O
0.3183 0.4448 0.8613 O
0.4469 0.8047 0.3189 O
0.4493 0.8004 0.7991 O
0.5507 0.3004 0.2009 O
0.5531 0.3047 0.6811 O
0.6817 0.9448 0.1387 O
0.7221 0.6374 0.6502 O
0.7345 0.6653 0.1127 O
0.7404 0.4148 0.8903 O
0.7624 0.9151 0.6076 O
0.7657 0.1655 0.3872 O
0.7786 0.1369 0.8485 O
0.8164 0.4451 0.3604 O
0.9453 0.8057 0.8182 O
0.9474 0.8012 0.2993 O
```

***

Number 1: formation enthalpy at 0 K -43.9 eV/f.u.. Number 2: formation enthalpy at 0 K -21.1 eV/f.u.. Number 3: formation enthalpy at 0 K -59.4 eV/f.u.. Number 4: formation enthalpy at 0 K -20.5 eV/f.u.. Number 5: formation enthalpy at 0 K -37.6 eV/f.u.. Number 6: formation enthalpy at 0 K -37.8 eV/f.u.. Number 7: formation enthalpy at 0 K -20.8 eV/f.u.. Number 8: formation enthalpy at 0 K -21.4 eV/f.u.. Number 9: formation enthalpy at 0 K -20.9 eV/f.u.. Number 10: formation enthalpy at 0 K -38.4 eV/f.u.. Number 11: formation enthalpy at 0 K -20.2 eV/f.u..